[1]
The following is a DFT calculation (PBE-GGA) of a geometry-optimized AlTlSiO4 structure.

Cell: 5.580 7.368 9.128 Å, 90.00 90.00 90.00°
Atoms (fractional coordinates):
Al: 0.250 0.999 0.568
Al: 0.250 0.501 0.068
Al: 0.750 0.499 0.932
Al: 0.750 0.001 0.432
Tl: 0.250 0.626 0.748
Tl: 0.750 0.126 0.752
Tl: 0.750 0.374 0.252
Tl: 0.250 0.874 0.248
Si: 0.750 0.813 0.087
Si: 0.750 0.687 0.587
Si: 0.250 0.313 0.413
Si: 0.250 0.187 0.913
O: 0.031 0.148 0.442
O: 0.250 0.108 0.744
O: 0.750 0.608 0.756
O: 0.750 0.541 0.463
O: 0.250 0.041 0.037
O: 0.969 0.648 0.058
O: 0.469 0.352 0.942
O: 0.469 0.148 0.442
O: 0.250 0.392 0.244
O: 0.750 0.959 0.963
O: 0.250 0.459 0.537
O: 0.531 0.648 0.058
O: 0.531 0.852 0.558
O: 0.031 0.352 0.942
O: 0.750 0.892 0.256
O: 0.969 0.852 0.558

Computed properties:
**Space group**: No. 62
**Uncorrected energy**: -0.2427 hartree per atom
**M_tot**: 0.00 μB/atom



[2]
The following is a DFT calculation (PBE-GGA) of a geometry-optimized AlTlSiO4 structure.

Cell: 5.257 7.444 13.063 Å, 90.00 90.00 86.99°
Atoms (fractional coordinates):
Al: 0.251 0.979 0.463
Al: 0.249 0.521 0.963
Al: 0.751 0.479 0.037
Al: 0.749 0.021 0.537
Tl: 0.230 0.513 0.757
Tl: 0.730 0.013 0.743
Tl: 0.770 0.487 0.243
Tl: 0.270 0.987 0.257
Si: 0.742 0.768 0.913
Si: 0.758 0.732 0.413
Si: 0.242 0.268 0.587
Si: 0.258 0.232 0.087
O: 0.019 0.158 0.519
O: 0.261 0.188 0.703
O: 0.761 0.688 0.797
O: 0.777 0.516 0.410
O: 0.277 0.016 0.090
O: 0.969 0.663 0.990
O: 0.481 0.342 0.019
O: 0.469 0.163 0.510
O: 0.239 0.312 0.203
O: 0.723 0.984 0.910
O: 0.223 0.484 0.590
O: 0.519 0.658 0.981
O: 0.531 0.837 0.490
O: 0.031 0.337 0.010
O: 0.739 0.812 0.297
O: 0.981 0.842 0.481

Computed properties:
**Space group**: No. 14
**Uncorrected energy**: -0.2385 hartree per atom
**M_tot**: 0.00 μB/atom



[3]
The following is a DFT calculation (PBE-GGA) of a geometry-optimized SmAlO3 structure.

Cell: 5.313 5.358 7.531 Å, 90.00 90.00 90.00°
Atoms (fractional coordinates):
Sm: 0.492 0.007 0.250
Sm: 0.008 0.507 0.750
Sm: 0.992 0.493 0.250
Sm: 0.508 0.993 0.750
Al: 0.000 0.000 0.000
Al: 0.500 0.500 0.000
Al: 0.500 0.500 0.500
Al: 0.000 0.000 0.500
O: 0.242 0.258 0.038
O: 0.258 0.758 0.962
O: 0.742 0.242 0.462
O: 0.758 0.742 0.538
O: 0.758 0.742 0.962
O: 0.742 0.242 0.038
O: 0.258 0.758 0.538
O: 0.242 0.258 0.462
O: 0.003 0.930 0.250
O: 0.497 0.430 0.750
O: 0.503 0.570 0.250
O: 0.997 0.070 0.750

Computed properties:
**Space group**: No. 62
**Uncorrected energy**: -0.2919 hartree per atom
**M_tot**: 0.00 μB/atom



[4]
The following is a DFT calculation (PBE-GGA) of a geometry-optimized Sm3Al5O12 structure.

Cell: 10.622 10.622 10.622 Å, 109.47 109.47 109.47°
Atoms (fractional coordinates):
Sm: 0.750 0.125 0.375
Sm: 0.375 0.125 0.250
Sm: 0.875 0.625 0.250
Sm: 0.250 0.375 0.125
Sm: 0.375 0.750 0.125
Sm: 0.125 0.250 0.375
Sm: 0.875 0.750 0.625
Sm: 0.625 0.250 0.875
Sm: 0.750 0.625 0.875
Sm: 0.625 0.875 0.750
Sm: 0.125 0.375 0.750
Sm: 0.250 0.875 0.625
Al: 0.875 0.250 0.125
Al: 0.500 0.000 0.000
Al: 0.000 0.000 0.000
Al: 0.625 0.375 0.250
Al: 0.500 0.000 0.500
Al: 0.500 0.500 0.000
Al: 0.875 0.125 0.750
Al: 0.750 0.875 0.125
Al: 0.750 0.375 0.625
Al: 0.625 0.750 0.375
Al: 0.500 0.500 0.500
Al: 0.000 0.500 0.000
Al: 0.000 0.000 0.500
Al: 0.375 0.250 0.625
Al: 0.250 0.625 0.375
Al: 0.250 0.125 0.875
Al: 0.375 0.625 0.750
Al: 0.125 0.875 0.250
Al: 0.000 0.500 0.500
Al: 0.125 0.750 0.875
O: 0.900 0.016 0.320
O: 0.884 0.400 0.080
O: 0.920 0.303 0.320
O: 0.984 0.680 0.100
O: 0.920 0.116 0.600
O: 0.580 0.180 0.197
O: 0.616 0.420 0.100
O: 0.197 0.116 0.016
O: 0.697 0.680 0.080
O: 0.600 0.180 0.484
O: 0.900 0.384 0.580
O: 0.116 0.016 0.197
O: 0.820 0.516 0.400
O: 0.680 0.080 0.697
O: 0.484 0.384 0.303
O: 0.484 0.600 0.180
O: 0.420 0.100 0.616
O: 0.016 0.197 0.116
O: 0.820 0.803 0.420
O: 0.384 0.303 0.484
O: 0.680 0.100 0.984
O: 0.697 0.516 0.616
O: 0.803 0.420 0.820
O: 0.600 0.920 0.116
O: 0.303 0.484 0.384
O: 0.400 0.080 0.884
O: 0.197 0.580 0.180
O: 0.180 0.197 0.580
O: 0.616 0.697 0.516
O: 0.320 0.900 0.016
O: 0.580 0.900 0.384
O: 0.516 0.400 0.820
O: 0.984 0.803 0.884
O: 0.516 0.616 0.697
O: 0.320 0.920 0.303
O: 0.180 0.484 0.600
O: 0.884 0.984 0.803
O: 0.400 0.820 0.516
O: 0.303 0.320 0.920
O: 0.100 0.616 0.420
O: 0.803 0.884 0.984
O: 0.384 0.580 0.900
O: 0.420 0.820 0.803
O: 0.016 0.320 0.900
O: 0.080 0.884 0.400
O: 0.080 0.697 0.680
O: 0.116 0.600 0.920
O: 0.100 0.984 0.680

Computed properties:
**Space group**: No. 230
**Uncorrected energy**: -0.2883 hartree per atom